Entry from the Materials Project database: Na14Zr4Al4Si9S3O48 after structural relaxation (PBE).

```
Na14Zr4Al4Si9S3O48
1.0
9.0421 0.0000 0.0000
0.0010 15.6745 0.0000
0.0528 0.2316 22.2989
Na Zr Al Si S O
42 12 12 27 9 144
direct
0.0000 0.0000 0.0000
0.0000 0.6976 0.6712
0.0028 0.0250 0.3288
0.0077 0.6694 0.3284
0.0165 0.3349 0.6682
0.1268 0.8322 0.1629
0.1333 0.1686 0.8318
0.1368 0.5299 0.8332
0.1407 0.1980 0.1672
0.1420 0.5033 0.5025
0.1766 0.1838 0.5007
0.1771 0.8558 0.8362
0.1935 0.5251 0.1667
0.3151 0.0086 0.4137
0.3160 0.6811 0.2492
0.3181 0.3553 0.5877
0.3254 0.6780 0.7483
0.3264 0.0137 0.9131
0.3285 0.3566 0.0835
0.4523 0.5195 0.6720
0.4542 0.8477 0.3368
0.4677 0.1862 0.9959
0.4982 0.1980 0.6737
0.4996 0.5421 0.3286
0.5046 0.5010 0.0001
0.5101 0.8365 0.6610
0.6329 0.3388 0.1572
0.6384 0.9936 0.5016
0.6415 0.6970 0.1641
0.6436 0.0408 0.8328
0.6736 0.6862 0.4960
0.6872 0.3491 0.8400
0.6896 0.0186 0.1683
0.8128 0.1778 0.2443
0.8140 0.8541 0.5847
0.8146 0.5158 0.4118
0.8178 0.8499 0.0844
0.8206 0.5152 0.9178
0.8262 0.1817 0.7539
0.9495 0.0210 0.6732
0.9561 0.6837 0.0010
0.9630 0.3578 0.3297
0.3059 0.3566 0.4355
0.3195 0.0264 0.2697
0.3195 0.6807 0.8969
0.3222 0.0140 0.5647
0.3220 0.3533 0.9343
0.3229 0.0189 0.0629
0.8127 0.5184 0.0622
0.8193 0.5199 0.5633
0.8202 0.8523 0.4337
0.8228 0.5273 0.7712
0.8277 0.8509 0.9394
0.8318 0.1826 0.3934
0.3037 0.3480 0.7363
0.3146 0.6772 0.0985
0.3187 0.0369 0.7678
0.3214 0.3561 0.2309
0.3384 0.6874 0.3908
0.3430 0.6744 0.5998
0.7991 0.1750 0.0994
0.8024 0.1877 0.8911
0.8165 0.8560 0.7329
0.8244 0.5387 0.2661
0.8391 0.8479 0.2352
0.8431 0.1754 0.6043
0.0130 0.0194 0.1650
0.0243 0.3457 0.8315
0.1178 0.8457 0.3318
0.1284 0.5198 0.6642
0.1662 0.5010 0.3274
0.1754 0.1690 0.6667
0.1758 0.5363 0.0034
0.1819 0.2114 0.3298
0.1854 0.8286 0.0016
0.4551 0.8227 0.4987
0.4620 0.4947 0.8267
0.4638 0.5442 0.4963
0.4648 0.2053 0.8293
0.4710 0.1736 0.1649
0.5250 0.5177 0.1717
0.6013 0.6882 0.0051
0.6174 0.0197 0.6696
0.6703 0.6732 0.6649
0.6766 0.7055 0.3293
0.6773 0.9948 0.3280
0.6786 0.0457 0.9963
0.6861 0.3224 0.9987
0.9565 0.3281 0.5028
0.9663 0.0366 0.5033
0.9657 0.7125 0.8287
0.9716 0.6698 0.1667
0.9733 0.9989 0.8287
0.0411 0.6865 0.5003
0.0998 0.1861 0.0005
0.1711 0.8701 0.6697
0.4693 0.8687 0.1672
0.5307 0.8540 0.8279
0.5358 0.1868 0.5025
0.6092 0.3526 0.3292
0.6730 0.3669 0.6654
0.9705 0.3716 0.1698
0.0016 0.8384 0.9996
0.0064 0.8644 0.6725
0.0104 0.8693 0.3887
0.0110 0.1930 0.0562
0.0128 0.1748 0.9457
0.0150 0.8312 0.2728
0.0181 0.5017 0.6064
0.0185 0.5383 0.7212
0.1209 0.0385 0.2229
0.1253 0.0020 0.1079
0.1255 0.3303 0.7715
0.1288 0.6752 0.4456
0.1290 0.6933 0.5559
0.1325 0.3685 0.8876
0.1361 0.3641 0.1737
0.1425 0.3345 0.5002
0.1474 0.0336 0.5049
0.1478 0.7051 0.8296
0.1534 0.6791 0.1587
0.1575 0.0051 0.8196
0.1854 0.4398 0.3894
0.1975 0.1065 0.0034
0.1984 0.9251 0.6149
0.1996 0.5925 0.9406
0.2011 0.1032 0.7228
0.2033 0.2599 0.9986
0.2183 0.2732 0.2732
0.2184 0.7683 0.0596
0.2195 0.7606 0.3416
0.2232 0.9307 0.3252
0.2252 0.6090 0.6551
0.2297 0.4333 0.6719
0.2350 0.7840 0.6620
0.2383 0.1122 0.3291
0.2414 0.9104 0.7219
0.2430 0.5940 0.3387
0.2443 0.2484 0.3931
0.2441 0.7899 0.9380
0.2464 0.9281 0.0038
0.2495 0.5829 0.0608
0.2507 0.4504 0.2736
0.2519 0.1246 0.6068
0.2547 0.2632 0.6728
0.2581 0.4435 0.9993
0.3834 0.5889 0.8306
0.3869 0.4443 0.7708
0.3875 0.2427 0.8906
0.3888 0.1298 0.1066
0.3914 0.1084 0.8243
0.3906 0.2662 0.1756
0.3916 0.4474 0.4927
0.3920 0.5824 0.5577
0.3964 0.7796 0.4373
0.3966 0.9238 0.5032
0.3986 0.7844 0.1620
0.4028 0.9094 0.2207
0.4164 0.4323 0.1784
0.4157 0.7668 0.5594
0.4240 0.6049 0.1644
0.4269 0.6013 0.4369
0.4301 0.2681 0.7718
0.4333 0.9310 0.8228
0.4349 0.7770 0.8316
0.4356 0.2613 0.4978
0.4396 0.4415 0.8902
0.4403 0.9260 0.1141
0.4410 0.1071 0.5039
0.4484 0.1036 0.2193
0.4894 0.6813 0.6582
0.4954 0.6957 0.3351
0.4957 0.0390 0.0020
0.4968 0.0341 0.7240
0.4978 0.9999 0.3254
0.4994 0.6952 0.0646
0.5002 0.3310 0.9977
0.5046 0.6713 0.9444
0.5101 0.3605 0.6688
0.5158 0.3639 0.3838
0.5166 0.3418 0.2754
0.5190 0.9983 0.6085
0.6224 0.8665 0.8818
0.6237 0.4937 0.1117
0.6253 0.1944 0.5569
0.6247 0.8434 0.7734
0.6263 0.1761 0.4475
0.6323 0.8619 0.1703
0.6404 0.8325 0.4985
0.6418 0.4992 0.8233
0.6454 0.5305 0.2269
0.6462 0.1960 0.8342
0.6464 0.5376 0.5016
0.6521 0.1817 0.1588
0.6932 0.6022 0.7181
0.7011 0.9425 0.3920
0.7024 0.4250 0.6126
0.7047 0.2751 0.3341
0.7075 0.4286 0.3257
0.7073 0.6012 0.0057
0.7111 0.7703 0.2734
0.7124 0.1032 0.9367
0.7152 0.7689 0.9991
0.7180 0.1082 0.6599
0.7231 0.2658 0.0594
0.7245 0.9344 0.6767
0.7396 0.2812 0.6576
0.7425 0.4048 0.7189
0.7446 0.2791 0.9370
0.7451 0.4215 0.0035
0.7482 0.0834 0.0583
0.7487 0.7667 0.6748
0.7507 0.6088 0.3245
0.7522 0.6302 0.6056
0.7516 0.9507 0.9920
0.7529 0.7427 0.3914
0.7541 0.0902 0.3335
0.7569 0.9461 0.2726
0.8866 0.9436 0.4999
0.8893 0.7637 0.1740
0.8903 0.6240 0.1093
0.8900 0.9517 0.7721
0.8925 0.0845 0.5605
0.8961 0.2878 0.4399
0.8983 0.0937 0.8381
0.8991 0.4274 0.5042
0.9001 0.7505 0.8908
0.9013 0.4106 0.2235
0.9038 0.6134 0.8281
0.9067 0.2844 0.1633
0.9117 0.9331 0.1731
0.9160 0.1086 0.1559
0.9188 0.2661 0.5599
0.9189 0.4306 0.8242
0.9221 0.2607 0.8411
0.9233 0.7721 0.7709
0.9365 0.0943 0.4416
0.9371 0.7601 0.4985
0.9432 0.6068 0.5030
0.9444 0.4253 0.1160
0.9471 0.6055 0.2246
0.9523 0.9382 0.8891
0.9830 0.5057 0.3206
0.9928 0.1780 0.6605
0.9971 0.2052 0.3318
0.9967 0.5299 0.0065
```

Calculated values
**Formation energy**: -2.868 eV/atom
**Total magnetization**: 0.0 μB per formula unit
**SG**: No. 1

---

Entry from the Materials Project database: NaAl3Si3O11 after structural relaxation (PBE).

```
NaAl3Si3O11
1.0
2.6158 -4.6411 0.0000
2.6158 4.6411 0.0000
-0.2215 0.0000 20.4422
Na Al Si O
2 6 6 22
direct
0.0006 0.9994 0.5000
0.9994 0.0006 0.0000
0.1906 0.3919 0.2340
0.3553 0.8541 0.6005
0.3919 0.1906 0.7340
0.6541 0.8309 0.7345
0.8309 0.6541 0.2345
0.8541 0.3553 0.1005
0.1745 0.6794 0.3715
0.3786 0.5201 0.8712
0.5069 0.6518 0.0986
0.5201 0.3786 0.3712
0.6518 0.5069 0.5986
0.6794 0.1745 0.8715
0.0087 0.0231 0.2439
0.0231 0.0087 0.7439
0.0305 0.3670 0.8913
0.1274 0.6113 0.2943
0.1864 0.4223 0.0659
0.3237 0.5042 0.4051
0.3670 0.0305 0.3913
0.4223 0.1864 0.5659
0.4454 0.5394 0.7938
0.4516 0.9359 0.6836
0.5028 0.5839 0.1789
0.5042 0.3237 0.9051
0.5394 0.4454 0.2938
0.5563 0.8503 0.9058
0.5839 0.5028 0.6789
0.5944 0.7539 0.5663
0.5973 0.9871 0.0830
0.6113 0.1274 0.7943
0.7539 0.5944 0.0663
0.8503 0.5563 0.4058
0.9359 0.4516 0.1836
0.9871 0.5973 0.5830
```

Calculated values
**Formation energy**: -3.235 eV/atom
**Total magnetization**: 0.0 μB per formula unit
**SG**: No. 9

---

Entry from the Materials Project database: NaAlSi3O8 after structural relaxation (PBE).

```
NaAlSi3O8
1.0
7.1761 0.0000 0.0000
-1.8116 7.5274 0.0000
-1.8583 -3.9184 6.4760
Na Al Si O
2 2 6 16
direct
0.1345 0.2661 0.2726
0.8655 0.7339 0.7274
0.3407 0.8038 0.5734
0.6593 0.1962 0.4266
0.2203 0.8289 0.1806
0.2255 0.1881 0.8409
0.3353 0.5731 0.8042
0.6647 0.4269 0.1958
0.7745 0.8119 0.1591
0.7797 0.1711 0.8194
0.0120 0.1588 0.8876
0.2172 0.9607 0.6982
0.2272 0.6957 0.9522
0.2424 0.7125 0.3086
0.2498 0.3274 0.7326
0.2757 0.5802 0.5942
0.3865 0.0669 0.3068
0.4110 0.3199 0.0729
0.5890 0.6801 0.9271
0.6135 0.9331 0.6932
0.7243 0.4198 0.4058
0.7502 0.6726 0.2674
0.7576 0.2875 0.6914
0.7728 0.3043 0.0478
0.7828 0.0393 0.3018
0.9880 0.8412 0.1124
```

Calculated values
**Formation energy**: -3.207 eV/atom
**Total magnetization**: 0.0 μB per formula unit
**Excess energy over the best structure of this formula in the dataset**: 6 meV per atom
**SG**: No. 2

---

Entry from the Materials Project database: NaAlSi3O8 after structural relaxation (PBE).

```
NaAlSi3O8
1.0
8.3272 0.0000 0.0000
0.0000 4.8073 0.0000
-8.0507 0.0000 8.7750
Na Al Si O
2 2 6 16
direct
0.0000 0.1531 0.0000
0.0000 0.8469 0.5000
0.8680 0.1109 0.6715
0.8680 0.8891 0.1715
0.1731 0.3873 0.3558
0.1731 0.6127 0.8558
0.4810 0.1035 0.6682
0.4810 0.8965 0.1682
0.5451 0.3850 0.3539
0.5451 0.6150 0.8539
0.0276 0.1792 0.2105
0.0276 0.8208 0.7105
0.0373 0.3385 0.8284
0.0373 0.6615 0.3284
0.2508 0.2312 0.5107
0.2508 0.7688 0.0107
0.3927 0.4727 0.3883
0.3927 0.5273 0.8883
0.4043 0.1665 0.2079
0.4043 0.8335 0.7079
0.5993 0.3324 0.8073
0.5993 0.6676 0.3073
0.6532 0.0108 0.6569
0.6532 0.9892 0.1569
0.7750 0.2471 0.4988
0.7750 0.7529 0.9988
```

Calculated values
**Formation energy**: -3.210 eV/atom
**Total magnetization**: 0.0 μB per formula unit
**Excess energy over the best structure of this formula in the dataset**: 4 meV per atom
**SG**: No. 7

---

Entry from the Materials Project database: Na4Al3Si3O12 after structural relaxation (PBE).

```
Na4Al3Si3O12
1.0
8.9521 0.0000 0.0000
0.0000 8.9521 0.0000
0.0000 0.0000 8.9521
Na Al Si O
8 6 6 24
direct
0.1760 0.1760 0.1760
0.1760 0.8240 0.8240
0.3240 0.3240 0.6760
0.3240 0.6760 0.3240
0.6760 0.3240 0.3240
0.6760 0.6760 0.6760
0.8240 0.1760 0.8240
0.8240 0.8240 0.1760
0.0000 0.2500 0.5000
0.0000 0.7500 0.5000
0.2500 0.5000 0.0000
0.5000 0.0000 0.2500
0.5000 0.0000 0.7500
0.7500 0.5000 0.0000
0.0000 0.5000 0.2500
0.0000 0.5000 0.7500
0.2500 0.0000 0.5000
0.5000 0.2500 0.0000
0.5000 0.7500 0.0000
0.7500 0.0000 0.5000
0.0640 0.3610 0.6492
0.0640 0.6390 0.3508
0.1390 0.4360 0.1492
0.1390 0.5640 0.8508
0.1492 0.1390 0.4360
0.1492 0.8610 0.5640
0.3508 0.0640 0.6390
0.3508 0.9360 0.3610
0.3610 0.3508 0.9360
0.3610 0.6492 0.0640
0.4360 0.1492 0.1390
0.4360 0.8508 0.8610
0.5640 0.1492 0.8610
0.5640 0.8508 0.1390
0.6390 0.3508 0.0640
0.6390 0.6492 0.9360
0.6492 0.0640 0.3610
0.6492 0.9360 0.6390
0.8508 0.1390 0.5640
0.8508 0.8610 0.4360
0.8610 0.4360 0.8508
0.8610 0.5640 0.1492
0.9360 0.3610 0.3508
0.9360 0.6390 0.6492
```

Calculated values
**Formation energy**: -3.000 eV/atom
**Total magnetization**: 1.0 μB per formula unit
**SG**: No. 218

---

Entry from the Materials Project database: NaAlSi3O8 after structural relaxation (PBE).

```
NaAlSi3O8
1.0
7.2589 0.0000 0.0000
-1.3754 7.4111 0.0000
-2.3081 -3.7791 6.4626
Na Al Si O
2 2 6 16
direct
0.1459 0.2811 0.2556
0.8541 0.7189 0.7444
0.2093 0.8390 0.1802
0.7907 0.1610 0.8198
0.2372 0.1848 0.8258
0.3176 0.5835 0.8058
0.3615 0.8027 0.5678
0.6385 0.1973 0.4322
0.6824 0.4165 0.1942
0.7628 0.8152 0.1742
0.0326 0.1292 0.8645
0.1922 0.7003 0.9267
0.2346 0.3321 0.7201
0.2575 0.9702 0.6740
0.2702 0.7125 0.3210
0.2818 0.5976 0.5942
0.3889 0.0963 0.3142
0.4337 0.3137 0.0525
0.5663 0.6863 0.9475
0.6111 0.9037 0.6858
0.7182 0.4024 0.4058
0.7298 0.2875 0.6790
0.7425 0.0298 0.3260
0.7654 0.6679 0.2799
0.8078 0.2997 0.0733
0.9674 0.8708 0.1355
```

Calculated values
**Formation energy**: -3.214 eV/atom
**Excess energy over the best structure of this formula in the dataset**: 0 meV per atom
**SG**: No. 2

---

What did we get for total energy? Answer: -1706.0, -267.9, -194.3, -194.3, -299.9, -194.4 eV/cell, in the order shown.